1.
# Ca2Mn3O8

Crystalline Ca2Mn3O8 at its relaxed geometry (PBE with a Hubbard U, Materials Project).

```
Ca2Mn3O8
1.0
5.562 -2.972 0.000
5.562 2.972 0.000
-1.696 0.000 4.733
Ca Mn O
2 3 8
direct
0.223 0.223 0.164
0.777 0.777 0.836
0.242 0.758 0.500
0.500 0.500 0.000
0.758 0.242 0.500
0.103 0.103 0.458
0.176 0.620 0.108
0.380 0.824 0.892
0.403 0.403 0.597
0.597 0.597 0.403
0.620 0.176 0.108
0.824 0.380 0.892
0.897 0.897 0.542
```

- Symmetry: No. 12
- ρ: 3.96 g/cm³

***

2.
# Ca2Mn3O8

Crystalline Ca2Mn3O8 at its relaxed geometry (PBE with a Hubbard U, Materials Project).

```
Ca2Mn3O8
1.0
5.983 0.000 0.000
-2.991 5.181 0.000
0.000 0.000 10.542
Ca Mn O
4 6 16
direct
0.333 0.667 0.000
0.333 0.667 0.404
0.667 0.333 0.500
0.667 0.333 0.904
0.164 0.329 0.719
0.164 0.836 0.719
0.329 0.164 0.219
0.671 0.836 0.719
0.836 0.164 0.219
0.836 0.671 0.219
0.000 0.000 0.315
0.000 0.000 0.815
0.044 0.522 0.821
0.154 0.309 0.128
0.154 0.846 0.128
0.309 0.154 0.628
0.333 0.667 0.622
0.478 0.522 0.821
0.478 0.956 0.821
0.522 0.044 0.321
0.522 0.478 0.321
0.667 0.333 0.122
0.691 0.846 0.128
0.846 0.154 0.628
0.846 0.691 0.628
0.956 0.478 0.321
```

- Symmetry: No. 186
- Magnetic moment: 18.0 μB/cell
- ρ: 3.79 g/cm³

***

Which structure is most stable, and how do the rest compare? From most to least stable: 1, 2.

***

1.
# MgTiVO4

Crystalline MgTiVO4 at its relaxed geometry (PBE with a Hubbard U, Materials Project).

```
MgTiVO4
1.0
2.950 0.000 0.000
0.000 3.311 4.262
0.000 -3.311 4.262
Mg Ti V O
1 1 1 4
direct
0.000 0.000 0.000
0.500 0.711 0.711
0.000 0.323 0.323
0.000 0.623 0.981
0.000 0.981 0.623
0.500 0.144 0.144
0.500 0.501 0.501
```

- Symmetry: No. 38
- Magnetic moment: 3.0 μB/cell
- ρ: 3.73 g/cm³

***

2.
# MgTiVO4

Crystalline MgTiVO4 at its relaxed geometry (PBE with a Hubbard U, Materials Project).

```
MgTiVO4
1.0
-2.085 2.089 4.218
2.085 -2.089 4.218
2.085 2.089 -4.218
Mg Ti V O
1 1 1 4
direct
0.000 0.000 0.000
0.502 0.502 0.000
0.252 0.752 0.500
0.009 0.509 0.500
0.269 0.269 0.000
0.496 0.996 0.500
0.737 0.737 0.000
```

- Symmetry: No. 44
- Magnetic moment: 2.5 μB/cell
- ρ: 4.23 g/cm³

***

3.
# MgTiVO4

Crystalline MgTiVO4 at its relaxed geometry (PBE with a Hubbard U, Materials Project).

```
MgTiVO4
1.0
5.051 0.000 0.000
0.000 2.988 0.000
-0.068 0.000 5.188
Mg Ti V O
1 1 1 4
direct
0.000 0.000 0.000
0.500 0.530 0.000
0.000 0.995 0.500
0.167 0.494 0.772
0.337 0.983 0.201
0.663 0.983 0.799
0.833 0.494 0.228
```

- Symmetry: No. 3
- Magnetic moment: 3.0 μB/cell
- ρ: 3.97 g/cm³

***

Which structure is most stable, and how do the rest compare? From most to least stable: 2, 3, 1.